Li5Mn3Nb2O10: optimized geometry, PBE+U.

Calculated values
- total magnetic moment (μB/f.u.) = 1.0
- symmetry = No. 2
- E_form (kJ/mol of formula units) = -4694
- total DFT energy (no corrections) (eV for the cell shown) = -286.99

```
Li5Mn3Nb2O10
1.0
5.355 0.000 0.000
2.542 7.718 0.000
1.865 2.842 10.079
Li Mn Nb O
10 6 4 20
direct
0.000 0.000 0.250
0.000 0.000 0.750
0.115 0.280 0.008
0.116 0.280 0.507
0.272 0.902 0.506
0.273 0.902 0.005
0.727 0.098 0.995
0.728 0.098 0.494
0.884 0.720 0.493
0.885 0.720 0.992
0.192 0.601 0.754
0.192 0.602 0.254
0.500 0.500 0.000
0.500 0.500 0.500
0.808 0.398 0.746
0.808 0.399 0.246
0.404 0.186 0.757
0.405 0.185 0.257
0.595 0.815 0.743
0.596 0.814 0.243
0.078 0.152 0.868
0.079 0.152 0.369
0.173 0.427 0.133
0.173 0.427 0.632
0.277 0.756 0.369
0.277 0.756 0.869
0.347 0.044 0.631
0.348 0.044 0.131
0.451 0.339 0.871
0.452 0.340 0.370
0.548 0.660 0.630
0.549 0.661 0.129
0.652 0.956 0.869
0.653 0.956 0.369
0.723 0.244 0.131
0.723 0.244 0.631
0.827 0.573 0.368
0.827 0.573 0.867
0.921 0.848 0.631
0.922 0.848 0.132
```